(1)
Mg14NbGa after structural relaxation, computed with PBE-GGA.

Cell: 6.2728 6.2728 10.0977 Å, 90.00 90.00 120.00°
Sites, in units of the cell vectors:
Mg (0.0000, 0.0000, 0.2466)
Mg (0.0000, 0.0000, 0.7534)
Mg (0.0120, 0.5060, 0.2483)
Mg (0.0120, 0.5060, 0.7517)
Mg (0.3327, 0.1663, 0.5000)
Mg (0.3364, 0.1682, 0.0000)
Mg (0.4940, 0.5060, 0.2483)
Mg (0.4940, 0.5060, 0.7517)
Mg (0.4940, 0.9880, 0.2483)
Mg (0.4940, 0.9880, 0.7517)
Mg (0.8318, 0.1682, 0.0000)
Mg (0.8318, 0.6636, 0.0000)
Mg (0.8337, 0.1663, 0.5000)
Mg (0.8337, 0.6673, 0.5000)
Nb (0.3333, 0.6667, 0.0000)
Ga (0.3333, 0.6667, 0.5000)

Output
Space group: No. 187
V, Å³/atom: 21.5
DFT total energy, eV per atom: -2.1776
Formation energy, eV/atom: 0.043


(2)
Mg14NbGa after structural relaxation, computed with PBE-GGA.

Cell: 10.1484 6.2975 6.2975 Å, 59.12 90.00 90.00°
Sites, in units of the cell vectors:
Mg (0.0000, 0.0001, 0.0001)
Mg (0.0000, 0.0005, 0.5005)
Mg (0.0000, 0.5005, 0.0005)
Mg (0.0000, 0.5000, 0.5000)
Mg (0.2530, 0.1647, 0.1647)
Mg (0.2537, 0.6627, 0.6627)
Mg (0.2570, 0.1711, 0.6661)
Mg (0.2570, 0.6661, 0.1711)
Mg (0.5000, 0.5022, 0.9981)
Mg (0.5000, 0.9981, 0.5022)
Mg (0.7430, 0.1711, 0.6661)
Mg (0.7430, 0.6661, 0.1711)
Mg (0.7463, 0.6627, 0.6627)
Mg (0.7470, 0.1647, 0.1647)
Nb (0.5000, 0.5020, 0.5020)
Ga (0.5000, 0.0002, 0.0002)

Output
Space group: No. 38
V, Å³/atom: 21.6
DFT total energy, eV per atom: -2.1782
Formation energy, eV/atom: 0.043


(3)
MgNb2Ga2O8 after structural relaxation, computed with PBE-GGA.

Cell: 7.0966 7.0966 6.8948 Å, 109.99 109.99 31.26°
Sites, in units of the cell vectors:
Mg (0.0000, 0.0000, 0.0000)
Nb (0.6058, 0.6058, 0.3538)
Nb (0.7852, 0.7852, 0.6869)
Ga (0.4950, 0.4950, 0.6914)
Ga (0.8740, 0.8740, 0.2859)
O (0.0696, 0.0696, 0.3134)
O (0.3163, 0.3163, 0.6805)
O (0.4365, 0.4365, 0.3759)
O (0.5448, 0.5448, 0.0022)
O (0.6309, 0.6309, 0.6630)
O (0.7559, 0.7559, 0.3639)
O (0.8549, 0.8549, 0.0086)
O (0.9539, 0.9539, 0.6862)

Output
Space group: No. 8
V, Å³/atom: 13.0
DFT total energy, eV per atom: -7.3246
Relative energy among the computed polymorphs, meV/atom: 0
Formation energy, eV/atom: -2.559


(4)
MgNb2Ga2O8 after structural relaxation, computed with PBE-GGA.

Cell: 6.8843 6.8843 6.8122 Å, 109.39 109.39 31.13°
Sites, in units of the cell vectors:
Mg (0.0000, 0.0000, 0.0000)
Nb (0.3891, 0.3922, 0.2851)
Nb (0.6078, 0.6109, 0.7149)
Ga (0.3090, 0.3117, 0.6948)
Ga (0.6883, 0.6910, 0.3052)
O (0.1646, 0.1675, 0.7644)
O (0.2338, 0.2366, 0.3529)
O (0.4009, 0.4024, 0.9852)
O (0.4423, 0.4464, 0.6162)
O (0.5536, 0.5577, 0.3838)
O (0.5976, 0.5991, 0.0148)
O (0.7634, 0.7662, 0.6471)
O (0.8325, 0.8354, 0.2356)

Output
Space group: No. 5
V, Å³/atom: 12.1
DFT total energy, eV per atom: -7.2324
Relative energy among the computed polymorphs, meV/atom: 92
Formation energy, eV/atom: -2.467


(5)
NdMgGa after structural relaxation, computed with PBE-GGA.

Cell: 7.4833 7.4833 4.5410 Å, 90.00 90.00 120.00°
Sites, in units of the cell vectors:
Nd (0.0000, 0.4228, 0.0000)
Nd (0.4228, 0.0000, 0.0000)
Nd (0.5772, 0.5772, 0.0000)
Mg (0.0000, 0.7572, 0.5000)
Mg (0.2428, 0.2428, 0.5000)
Mg (0.7572, 0.0000, 0.5000)
Ga (0.0000, 0.0000, 0.0000)
Ga (0.3333, 0.6667, 0.5000)
Ga (0.6667, 0.3333, 0.5000)

Output
Space group: No. 189
V, Å³/atom: 24.5
DFT total energy, eV per atom: -3.6210
Formation energy, eV/atom: -0.489


(6)
MgGaNi2 after structural relaxation, computed with PBE-GGA.

Cell: 5.9114 5.9114 5.9114 Å, 90.00 90.00 90.00°
Sites, in units of the cell vectors:
Mg (0.0000, 0.0000, 0.0000)
Mg (0.0000, 0.5000, 0.5000)
Mg (0.5000, 0.0000, 0.5000)
Mg (0.5000, 0.5000, 0.0000)
Ga (0.0000, 0.0000, 0.5000)
Ga (0.0000, 0.5000, 0.0000)
Ga (0.5000, 0.0000, 0.0000)
Ga (0.5000, 0.5000, 0.5000)
Ni (0.2500, 0.2500, 0.2500)
Ni (0.2500, 0.2500, 0.7500)
Ni (0.2500, 0.7500, 0.2500)
Ni (0.2500, 0.7500, 0.7500)
Ni (0.7500, 0.2500, 0.2500)
Ni (0.7500, 0.2500, 0.7500)
Ni (0.7500, 0.7500, 0.2500)
Ni (0.7500, 0.7500, 0.7500)

Output
Space group: No. 225
V, Å³/atom: 12.9
DFT total energy, eV per atom: -4.3831
Formation energy, eV/atom: -0.336


(7)
MgGa2O4 after structural relaxation, computed with PBE-GGA.

Cell: 5.9315 5.9315 14.4952 Å, 90.08 90.08 60.56°
Sites, in units of the cell vectors:
Mg (0.0000, 0.0000, 0.0000)
Mg (0.0053, 0.0053, 0.6249)
Mg (0.1669, 0.1669, 0.1664)
Mg (0.3333, 0.3333, 0.3331)
Mg (0.5014, 0.5014, 0.4985)
Mg (0.8343, 0.8343, 0.8342)
Ga (0.1672, 0.6664, 0.1665)
Ga (0.3266, 0.3266, 0.7070)
Ga (0.3288, 0.8355, 0.8345)
Ga (0.3402, 0.3402, 0.9572)
Ga (0.5022, 0.9958, 0.4986)
Ga (0.6602, 0.6602, 0.0445)
Ga (0.6664, 0.1672, 0.1665)
Ga (0.6666, 0.6666, 0.6617)
Ga (0.6733, 0.6733, 0.2866)
Ga (0.8355, 0.3288, 0.8345)
Ga (0.9937, 0.9937, 0.3777)
Ga (0.9958, 0.5022, 0.4986)
O (0.0067, 0.0067, 0.7630)
O (0.0181, 0.4987, 0.2453)
O (0.1639, 0.1639, 0.9132)
O (0.1662, 0.6808, 0.9133)
O (0.1675, 0.6502, 0.4206)
O (0.1715, 0.1715, 0.4212)
O (0.3162, 0.8349, 0.0867)
O (0.3303, 0.3303, 0.5768)
O (0.3376, 0.3376, 0.0890)
O (0.3657, 0.8262, 0.5797)
O (0.4946, 0.4946, 0.2449)
O (0.4987, 0.0181, 0.2453)
O (0.5065, 0.9774, 0.7505)
O (0.5077, 0.5077, 0.7507)
O (0.6502, 0.1675, 0.4206)
O (0.6618, 0.6618, 0.9101)
O (0.6701, 0.6701, 0.4177)
O (0.6808, 0.1662, 0.9133)
O (0.8212, 0.8212, 0.5783)
O (0.8262, 0.3657, 0.5797)
O (0.8349, 0.3162, 0.0867)
O (0.8386, 0.8386, 0.0870)
O (0.9774, 0.5065, 0.7505)
O (0.9963, 0.9963, 0.2445)

Output
Space group: No. 8
V, Å³/atom: 10.6
DFT total energy, eV per atom: -6.0620
Formation energy, eV/atom: -2.533


(8)
Mg3GaO4 after structural relaxation, computed with PBE-GGA.

Cell: 4.3635 4.3635 4.3635 Å, 90.00 90.00 90.00°
Sites, in units of the cell vectors:
Mg (0.0000, 0.0000, 0.5000)
Mg (0.0000, 0.5000, 0.0000)
Mg (0.5000, 0.0000, 0.0000)
Ga (0.5000, 0.5000, 0.5000)
O (0.0000, 0.0000, 0.0000)
O (0.0000, 0.5000, 0.5000)
O (0.5000, 0.0000, 0.5000)
O (0.5000, 0.5000, 0.0000)

Output
Space group: No. 221
V, Å³/atom: 10.4
DFT total energy, eV per atom: -5.6720
Formation energy, eV/atom: -2.563


(9)
MgGa2O4 after structural relaxation, computed with PBE-GGA.

Cell: 5.9798 5.9798 5.9798 Å, 60.00 60.00 60.00°
Sites, in units of the cell vectors:
Mg (0.1250, 0.1250, 0.1250)
Mg (0.8750, 0.8750, 0.8750)
Ga (0.0000, 0.5000, 0.5000)
Ga (0.5000, 0.0000, 0.5000)
Ga (0.5000, 0.5000, 0.0000)
Ga (0.5000, 0.5000, 0.5000)
O (0.2611, 0.2611, 0.2611)
O (0.2611, 0.2611, 0.7167)
O (0.2611, 0.7167, 0.2611)
O (0.2833, 0.7389, 0.7389)
O (0.7167, 0.2611, 0.2611)
O (0.7389, 0.2833, 0.7389)
O (0.7389, 0.7389, 0.2833)
O (0.7389, 0.7389, 0.7389)

Output
Space group: No. 227
V, Å³/atom: 10.8
DFT total energy, eV per atom: -6.0589
Formation energy, eV/atom: -2.530


(10)
MgGa2O4 after structural relaxation, computed with PBE-GGA.

Cell: 5.9302 5.9302 28.9833 Å, 90.12 90.12 60.56°
Sites, in units of the cell vectors:
Mg (0.0000, 0.0000, 0.0000)
Mg (0.0000, 0.0000, 0.4997)
Mg (0.1663, 0.1663, 0.0835)
Mg (0.1656, 0.1656, 0.5825)
Mg (0.3277, 0.3277, 0.8551)
Mg (0.3331, 0.3331, 0.1668)
Mg (0.4975, 0.4975, 0.7499)
Mg (0.4997, 0.4997, 0.2501)
Mg (0.6665, 0.6665, 0.3333)
Mg (0.8319, 0.8319, 0.9173)
Mg (0.8331, 0.8331, 0.4165)
Mg (0.9940, 0.9940, 0.6861)
Ga (0.9998, 0.4997, 0.2501)
Ga (0.0065, 0.0065, 0.3108)
Ga (0.0067, 0.0067, 0.8131)
Ga (0.0089, 0.4958, 0.7498)
Ga (0.1645, 0.6708, 0.5823)
Ga (0.1662, 0.6668, 0.0835)
Ga (0.3262, 0.3262, 0.3558)
Ga (0.3329, 0.8330, 0.4164)
Ga (0.3336, 0.3336, 0.6686)
Ga (0.3375, 0.8310, 0.9173)
Ga (0.3399, 0.3399, 0.4773)
Ga (0.3398, 0.3398, 0.9778)
Ga (0.4958, 0.0089, 0.7498)
Ga (0.4997, 0.9998, 0.2501)
Ga (0.6594, 0.6594, 0.5211)
Ga (0.6599, 0.6599, 0.0234)
Ga (0.6668, 0.1662, 0.0835)
Ga (0.6666, 0.6666, 0.8355)
Ga (0.6708, 0.1645, 0.5823)
Ga (0.6732, 0.6732, 0.1443)
Ga (0.6736, 0.6736, 0.6465)
Ga (0.8310, 0.3375, 0.9173)
Ga (0.8330, 0.3329, 0.4164)
Ga (0.9931, 0.9931, 0.1893)
O (0.0031, 0.0031, 0.8782)
O (0.0037, 0.0037, 0.3774)
O (0.0170, 0.4987, 0.1231)
O (0.0221, 0.4938, 0.6245)
O (0.1615, 0.1615, 0.4562)
O (0.1620, 0.1620, 0.9559)
O (0.1652, 0.6838, 0.4563)
O (0.1661, 0.6829, 0.9562)
O (0.1676, 0.6490, 0.2104)
O (0.1716, 0.1716, 0.2106)
O (0.1729, 0.6372, 0.7092)
O (0.1764, 0.1764, 0.7097)
O (0.3148, 0.8346, 0.0440)
O (0.3193, 0.8334, 0.5430)
O (0.3270, 0.3270, 0.7871)
O (0.3291, 0.3291, 0.2892)
O (0.3370, 0.3370, 0.0442)
O (0.3381, 0.3381, 0.5446)
O (0.3504, 0.8319, 0.2897)
O (0.3550, 0.8276, 0.7911)
O (0.4926, 0.4926, 0.6244)
O (0.4938, 0.0221, 0.6245)
O (0.4946, 0.4946, 0.1230)
O (0.4987, 0.0170, 0.1231)
O (0.5007, 0.9825, 0.3769)
O (0.5047, 0.5047, 0.3770)
O (0.5076, 0.9665, 0.8768)
O (0.5123, 0.5123, 0.8775)
O (0.6372, 0.1729, 0.7092)
O (0.6490, 0.1676, 0.2104)
O (0.6622, 0.6622, 0.4550)
O (0.6632, 0.6632, 0.9579)
O (0.6704, 0.6704, 0.2108)
O (0.6706, 0.6706, 0.7121)
O (0.6829, 0.1661, 0.9562)
O (0.6838, 0.1652, 0.4563)
O (0.8262, 0.8262, 0.7909)
O (0.8276, 0.3550, 0.7911)
O (0.8279, 0.8279, 0.2896)
O (0.8319, 0.3504, 0.2897)
O (0.8334, 0.3193, 0.5430)
O (0.8346, 0.3148, 0.0440)
O (0.8356, 0.8356, 0.5429)
O (0.8388, 0.8388, 0.0442)
O (0.9665, 0.5076, 0.8768)
O (0.9825, 0.5007, 0.3769)
O (0.9931, 0.9931, 0.6176)
O (0.9959, 0.9959, 0.1229)

Output
Space group: No. 8
V, Å³/atom: 10.6
DFT total energy, eV per atom: -6.0603
Formation energy, eV/atom: -2.532


(11)
MgGa2O4 after structural relaxation, computed with PBE-GGA.

Cell: 5.9353 5.9353 19.6527 Å, 98.53 98.53 60.48°
Sites, in units of the cell vectors:
Mg (0.0000, 0.0000, 0.0000)
Mg (0.1241, 0.1241, 0.8758)
Mg (0.2233, 0.2233, 0.1552)
Mg (0.2496, 0.2496, 0.7512)
Mg (0.3743, 0.3743, 0.6262)
Mg (0.5011, 0.5011, 0.5023)
Mg (0.7517, 0.7517, 0.2510)
Mg (0.9741, 0.9741, 0.4088)
Ga (0.0009, 0.4947, 0.9996)
Ga (0.0233, 0.0233, 0.5929)
Ga (0.2403, 0.7534, 0.2509)
Ga (0.2498, 0.7493, 0.7511)
Ga (0.2742, 0.2742, 0.3460)
Ga (0.4755, 0.4755, 0.9079)
Ga (0.4947, 0.0009, 0.9996)
Ga (0.5020, 0.9953, 0.5022)
Ga (0.5239, 0.5239, 0.0960)
Ga (0.6256, 0.6256, 0.3796)
Ga (0.7264, 0.7264, 0.6612)
Ga (0.7493, 0.2498, 0.7511)
Ga (0.7534, 0.2403, 0.2509)
Ga (0.7730, 0.7730, 0.8422)
Ga (0.8750, 0.8750, 0.1292)
Ga (0.9953, 0.5020, 0.5022)
O (0.0528, 0.0528, 0.1908)
O (0.0562, 0.5918, 0.1900)
O (0.0594, 0.0594, 0.6925)
O (0.0816, 0.5619, 0.6921)
O (0.1643, 0.6927, 0.0630)
O (0.1862, 0.6694, 0.5605)
O (0.1901, 0.1901, 0.0526)
O (0.1901, 0.1901, 0.5601)
O (0.3104, 0.3104, 0.4436)
O (0.3103, 0.3103, 0.9406)
O (0.3125, 0.8268, 0.9407)
O (0.3464, 0.8053, 0.4416)
O (0.4186, 0.9372, 0.8108)
O (0.4397, 0.4397, 0.8091)
O (0.4422, 0.9147, 0.3130)
O (0.4435, 0.4435, 0.3127)
O (0.5579, 0.5579, 0.6922)
O (0.5597, 0.5597, 0.1943)
O (0.5619, 0.0816, 0.6921)
O (0.5918, 0.0562, 0.1900)
O (0.6694, 0.1862, 0.5605)
O (0.6901, 0.6901, 0.5631)
O (0.6927, 0.1643, 0.0630)
O (0.6938, 0.6938, 0.0629)
O (0.8008, 0.8008, 0.4425)
O (0.8053, 0.3464, 0.4416)
O (0.8086, 0.8086, 0.9432)
O (0.8268, 0.3125, 0.9407)
O (0.9147, 0.4422, 0.3130)
O (0.9372, 0.4186, 0.8108)
O (0.9408, 0.9408, 0.3069)
O (0.9408, 0.9408, 0.8107)

Output
Space group: No. 8
V, Å³/atom: 10.6
DFT total energy, eV per atom: -6.0576
Formation energy, eV/atom: -2.529


(12)
MgGa2O4 after structural relaxation, computed with PBE-GGA.

Cell: 5.9465 5.9465 5.9465 Å, 60.15 60.15 60.15°
Sites, in units of the cell vectors:
Mg (0.0000, 0.0000, 0.0000)
Mg (0.3768, 0.3768, 0.3768)
Ga (0.3758, 0.3758, 0.8889)
Ga (0.3758, 0.8889, 0.3758)
Ga (0.7588, 0.7588, 0.7588)
Ga (0.8889, 0.3758, 0.3758)
O (0.1336, 0.1336, 0.5971)
O (0.1336, 0.5971, 0.1336)
O (0.1368, 0.1368, 0.1368)
O (0.1515, 0.6248, 0.6248)
O (0.5971, 0.1336, 0.1336)
O (0.6236, 0.6236, 0.6236)
O (0.6248, 0.1515, 0.6248)
O (0.6248, 0.6248, 0.1515)

Output
Space group: No. 160
V, Å³/atom: 10.7
DFT total energy, eV per atom: -6.0443
Formation energy, eV/atom: -2.516


(13)
RbMg14GaO16 after structural relaxation, computed with PBE-GGA.

Cell: 8.6539 8.6539 4.4766 Å, 90.00 90.00 90.00°
Sites, in units of the cell vectors:
Rb (0.0000, 0.0000, 0.0000)
Mg (0.0000, 0.2521, 0.5000)
Mg (0.0000, 0.5000, 0.0000)
Mg (0.0000, 0.7479, 0.5000)
Mg (0.2478, 0.5000, 0.5000)
Mg (0.2489, 0.2489, 0.0000)
Mg (0.2489, 0.7511, 0.0000)
Mg (0.2521, 0.0000, 0.5000)
Mg (0.5000, 0.0000, 0.0000)
Mg (0.5000, 0.2478, 0.5000)
Mg (0.5000, 0.7522, 0.5000)
Mg (0.7479, 0.0000, 0.5000)
Mg (0.7511, 0.2489, 0.0000)
Mg (0.7511, 0.7511, 0.0000)
Mg (0.7522, 0.5000, 0.5000)
Ga (0.5000, 0.5000, 0.0000)
O (0.0000, 0.0000, 0.5000)
O (0.0000, 0.2818, 0.0000)
O (0.0000, 0.5000, 0.5000)
O (0.0000, 0.7182, 0.0000)
O (0.2515, 0.2515, 0.5000)
O (0.2515, 0.7485, 0.5000)
O (0.2676, 0.5000, 0.0000)
O (0.2818, 0.0000, 0.0000)
O (0.5000, 0.0000, 0.5000)
O (0.5000, 0.2676, 0.0000)
O (0.5000, 0.5000, 0.5000)
O (0.5000, 0.7324, 0.0000)
O (0.7182, 0.0000, 0.0000)
O (0.7324, 0.5000, 0.0000)
O (0.7485, 0.2515, 0.5000)
O (0.7485, 0.7485, 0.5000)

Output
Space group: No. 123
V, Å³/atom: 10.5
DFT total energy, eV per atom: -5.6827
Relative energy among the computed polymorphs, meV/atom: 23
Formation energy, eV/atom: -2.727